The following is a DFT calculation (PBE+U) of CrHg3Pb2O8 after structural relaxation.

Cell and atoms, written as extended XYZ:
```
56
Lattice="-1.155 -12.717 18.397 6.246 -1.855 -0.890 4.377 4.567 3.432" Properties=species:S:1:pos:R:3 pbc="T T T"
Hg 0.027 -10.511 16.231
Hg 6.993 -4.624 7.109
Hg 3.539 -10.675 14.163
Hg 9.440 0.506 4.707
Hg 2.828 -12.144 17.518
Hg 6.639 2.139 3.421
Hg 3.666 -2.431 6.240
Hg 2.474 -5.381 13.830
Hg 5.465 -4.925 12.094
Hg 5.801 -7.575 14.698
Hg 5.929 0.669 6.775
Hg 4.002 -5.080 8.844
O 5.058 3.357 3.776
O 5.198 -11.753 13.625
O 4.417 -8.419 18.845
O 7.469 -8.557 14.021
O 2.563 -7.024 11.808
O 5.566 -2.096 11.343
O 1.979 -9.497 14.705
O 4.269 1.748 7.313
O 4.505 -1.647 8.893
O 5.656 -5.969 8.019
O 6.902 -8.812 17.720
O 7.079 -5.781 11.216
O 4.227 -6.559 15.476
O 8.266 0.956 3.020
O 3.811 -4.036 12.919
O 2.389 -4.224 9.723
O 1.201 -10.962 17.918
O 4.409 -13.362 17.163
O 4.962 -8.358 12.046
O 7.488 -0.509 6.233
O 4.830 -0.196 4.390
O 5.241 -3.446 5.463
O 4.637 -9.809 16.548
O 1.998 -1.448 6.918
O 3.902 -7.909 9.595
O 2.422 -4.899 6.173
O 2.566 -1.194 3.218
O 3.854 0.871 2.032
O 7.045 -5.106 14.765
O 5.613 -10.877 18.907
O 6.905 -2.981 9.130
O 5.050 -1.586 2.093
Pb 8.921 -1.107 7.934
Pb 8.839 -4.416 10.540
Pb 0.629 -5.589 10.399
Pb 2.289 -9.111 20.513
Pb 0.547 -8.898 13.005
Pb 2.623 -7.850 16.508
Pb 7.178 -0.894 0.426
Pb 6.845 -2.156 4.431
Cr 5.410 -9.484 18.007
Cr 5.926 -1.763 9.747
Cr 4.058 -0.521 2.932
Cr 3.542 -8.243 11.192
```

## Properties
* density: 7.95 Mg/m³
* calculated formation energy: -1.26 eV/atom

The following is a DFT calculation (PBE+U) of Li4Ti3Mn5O16 after structural relaxation.

Cell and atoms, written as extended XYZ:
```
28
Lattice="-4.382 -3.685 -1.490 -0.154 -2.305 -5.446 5.121 -7.798 2.753" Properties=species:S:1:pos:R:3 pbc="T T T"
Mn 0.280 -11.137 -3.585
Mn 0.588 -4.386 -3.092
Mn -1.475 -2.137 -2.321
Mn -0.409 -7.976 -3.219
Mn -1.481 -5.061 -1.157
O 1.031 -9.269 -4.203
O 3.762 -9.207 -1.404
O -1.359 -4.272 -2.942
O 1.560 -10.946 -2.151
O -1.296 -3.169 -0.541
O 0.960 -1.491 0.506
O -0.986 -11.349 -5.012
O -1.714 -6.882 -1.867
O 3.877 -7.884 1.394
O 0.545 -2.569 -2.263
O 1.062 -8.311 -1.764
O 0.519 -6.153 -3.956
O 0.514 -5.043 -1.210
O -1.773 -8.043 -4.700
O 1.672 -9.889 0.551
O -0.925 -9.908 -2.372
Li -2.516 -4.876 -4.389
Li -1.896 -9.840 -5.458
Li 1.578 -6.752 -0.669
Li -4.469 -5.963 -6.855
Ti 0.708 -3.274 -0.386
Ti 2.401 -9.286 -2.908
Ti 0.290 -9.975 -0.933
```

## Properties
* density: 3.94 Mg/m³
* calculated formation energy: -2.54 eV/atom

The following is a DFT calculation (PBE+U) of Na5VO4 after structural relaxation.

Cell and atoms, written as extended XYZ:
```
80
Lattice="-7.097 -5.844 -4.955 7.287 -7.710 -1.343 -2.942 -4.422 9.428" Properties=species:S:1:pos:R:3 pbc="T T T"
Na -2.687 -9.099 5.509
Na -3.436 -9.375 2.751
Na -6.131 -7.924 -0.893
Na 1.330 -9.069 6.571
Na -1.388 -14.483 0.240
Na -2.922 -12.496 4.225
Na -1.037 -7.359 7.172
Na -5.465 -6.194 -3.188
Na -4.324 -5.948 0.266
Na 0.189 -9.474 3.081
Na -0.133 -6.729 4.435
Na -0.311 -14.010 3.742
Na 0.170 -5.480 -1.095
Na -0.957 -13.542 -2.450
Na -1.567 -11.495 1.803
Na -5.983 -8.802 4.952
Na -2.619 -11.247 -1.304
Na 5.343 -7.923 -0.244
Na -4.330 -6.936 6.560
Na -1.364 -3.494 2.890
Na -1.715 -10.617 -4.042
Na 1.579 -11.040 -3.430
Na -5.907 -11.944 3.719
Na -4.081 -8.907 -3.441
Na 2.714 -11.783 6.318
Na -3.836 -12.983 0.729
Na 1.572 -12.028 2.864
Na -0.065 -8.878 -2.379
Na -8.095 -10.053 3.374
Na -1.795 -4.434 5.581
Na 3.379 -10.052 4.023
Na -2.441 -3.966 -0.612
Na 0.684 -8.601 0.379
Na -5.768 -7.443 2.342
Na 3.232 -9.174 -1.821
Na -1.185 -6.481 1.327
Na 3.155 -6.032 -0.589
Na 1.084 -4.994 2.401
Na 3.016 -10.534 0.789
Na -2.941 -8.502 0.049
O -1.613 -1.743 -0.693
O -6.724 -10.141 -0.397
O 3.237 -5.410 1.674
O -5.989 -12.566 1.457
O -3.320 -7.066 2.107
O -3.971 -7.247 -1.680
O -0.361 -1.487 2.199
O -2.391 -16.490 0.931
O -0.900 -9.809 6.911
O 0.857 -7.362 2.397
O 3.973 -7.836 3.527
O 0.618 -13.786 -0.691
O -0.500 -4.243 0.812
O -3.609 -10.614 0.734
O 1.683 -1.946 -0.140
O -2.251 -13.734 2.318
O -1.736 -10.506 3.942
O -1.139 -16.233 3.823
O 0.569 -10.911 1.023
O -4.435 -16.031 3.270
O -3.370 -4.190 3.821
O -1.721 -5.020 -2.645
O 1.219 -10.729 4.811
O -0.397 -11.207 -2.128
O -1.015 -7.471 -0.812
O 3.073 -8.203 0.364
O -5.334 -6.582 4.467
O -1.852 -8.167 -3.781
O -2.354 -6.769 5.258
O -5.825 -9.774 2.766
O 2.583 -11.394 -1.337
O -1.031 -12.956 5.775
V -2.627 -15.617 2.698
V -3.514 -6.150 3.807
V 2.795 -7.302 2.080
V -2.158 -6.884 -2.325
V -0.125 -2.359 0.432
V -0.594 -11.092 5.455
V -5.547 -10.675 1.050
V 0.762 -11.827 -0.677
```

## Properties
* density: 2.53 Mg/m³
* calculated formation energy: -1.79 eV/atom
* excess energy over the best structure of this formula in the dataset: 0.06 eV per formula unit

The following is a DFT calculation (PBE+U) of Zn3Si3Ni2O12 after structural relaxation.

Cell and atoms, written as extended XYZ:
```
80
Lattice="-5.867 5.867 5.867 5.867 -5.867 5.867 5.867 5.867 -5.867" Properties=species:S:1:pos:R:3 pbc="T T T"
O -1.846 5.486 5.252
O 6.955 3.549 -3.314
O 5.252 4.021 6.248
O 6.248 5.252 4.021
O 4.021 0.381 6.482
O -1.088 2.318 9.181
O 0.615 1.846 -0.381
O 4.779 3.549 2.553
O 5.486 5.252 -1.846
O 2.553 6.955 2.318
O 5.486 0.615 4.021
O 6.955 -2.318 3.314
O 2.318 2.553 6.955
O 0.615 7.713 0.381
O 0.381 6.482 4.021
O 5.252 1.846 0.381
O 0.381 5.252 1.846
O 6.482 4.021 0.381
O 3.314 -1.088 3.549
O 2.318 3.314 1.088
O 3.549 3.314 -1.088
O 3.549 -3.314 6.955
O 3.549 2.553 4.779
O 6.955 2.318 2.553
O 1.846 -0.381 0.615
O 1.088 2.318 3.314
O -0.615 1.846 5.486
O -0.381 0.615 1.846
O 2.553 -1.088 8.185
O 5.252 -1.846 5.486
O 8.185 2.553 -1.088
O 2.318 9.181 -1.088
O 4.021 5.486 0.615
O 1.846 0.381 5.252
O 9.181 -1.088 2.318
O 3.314 6.955 -2.318
O -1.088 3.549 3.314
O -3.314 6.955 3.549
O 0.615 4.021 5.486
O -2.318 3.314 6.955
O 5.486 -0.615 1.846
O 2.553 4.779 3.549
O 7.713 0.381 0.615
O 3.314 1.088 2.318
O 4.021 6.248 5.252
O -1.088 8.185 2.553
O 1.846 5.486 -0.615
O 0.381 0.615 7.713
Si 4.400 0.000 2.933
Si 5.867 -2.933 4.400
Si 0.000 2.933 4.400
Si 2.933 4.400 0.000
Si 5.867 2.933 1.467
Si 1.467 5.867 2.933
Si 2.933 1.467 5.867
Si -2.933 4.400 5.867
Si 0.000 8.800 1.467
Si 8.800 1.467 0.000
Si 4.400 5.867 -2.933
Si 1.467 0.000 8.800
Ni 2.933 2.933 -2.933
Ni 0.000 0.000 0.000
Ni 0.000 0.000 5.867
Ni 2.933 -2.933 2.933
Ni 2.933 2.933 2.933
Ni 5.867 0.000 0.000
Ni -2.933 2.933 2.933
Ni 0.000 5.867 0.000
Zn -1.467 5.867 2.933
Zn 2.933 7.334 0.000
Zn 0.000 2.933 7.334
Zn 4.400 5.867 2.933
Zn 2.933 1.467 0.000
Zn 2.933 4.400 5.867
Zn 5.867 2.933 -1.467
Zn 2.933 -1.467 5.867
Zn 1.467 0.000 2.933
Zn 0.000 2.933 1.467
Zn 5.867 2.933 4.400
Zn 7.334 0.000 2.933
```

## Properties
* density: 4.85 Mg/m³
* calculated formation energy: -2.10 eV/atom

The following is a DFT calculation (PBE+U) of CrWO4 after structural relaxation.

Cell and atoms, written as extended XYZ:
```
6
Lattice="-1.890 0.661 -2.438 -2.016 -4.146 0.439 -3.150 1.744 2.916" Properties=species:S:1:pos:R:3 pbc="T T T"
W -0.945 0.330 -1.219
O -3.754 0.302 0.952
O -1.008 -0.470 0.655
O -3.303 -2.044 -0.034
O -6.048 -1.272 0.263
Cr -4.474 -0.540 -0.760
```

## Properties
* density: 7.36 Mg/m³
* calculated formation energy: -2.28 eV/atom
* excess energy over the best structure of this formula in the dataset: 0.00 eV per formula unit

The following is a DFT calculation (PBE+U) of Li2VF5 after structural relaxation.

Cell and atoms, written as extended XYZ:
```
32
Lattice="6.705 0.000 0.000 0.000 7.456 0.000 0.000 0.000 8.101" Properties=species:S:1:pos:R:3 pbc="T T T"
Li 4.366 1.986 5.047
Li 1.770 4.127 1.003
Li 1.583 4.127 5.053
Li 1.014 5.714 7.105
Li 5.691 1.986 0.997
Li 4.935 0.399 7.098
Li 5.122 0.399 3.048
Li 2.338 5.714 3.054
V 5.020 5.524 1.015
V 5.037 5.524 5.066
V 1.668 1.796 3.036
V 1.685 1.796 7.086
F 3.619 1.773 6.801
F 4.843 5.811 7.090
F 0.266 5.501 5.351
F 1.491 2.083 5.062
F 4.936 3.642 1.000
F 6.438 1.773 2.750
F 3.086 5.501 1.301
F 5.057 0.086 5.066
F 1.648 3.814 3.035
F 1.768 7.370 7.102
F 3.102 5.420 4.795
F 6.455 1.692 7.357
F 1.861 2.083 1.011
F 1.584 7.370 3.051
F 5.214 5.811 3.039
F 1.705 3.814 7.086
F 5.121 3.642 5.050
F 5.000 0.086 1.015
F 3.602 1.692 3.306
F 0.250 5.420 0.744
```

## Properties
* density: 2.62 Mg/m³
* calculated formation energy: -3.17 eV/atom
* excess energy over the best structure of this formula in the dataset: 0.28 eV per formula unit

The following is a DFT calculation (PBE+U) of Li2FeW2O8 after structural relaxation.

Cell and atoms, written as extended XYZ:
```
13
Lattice="-3.885 3.206 2.406 3.447 5.885 -2.300 -2.198 -0.752 -5.106" Properties=species:S:1:pos:R:3 pbc="T T T"
Li -0.785 2.088 -1.314
Li -2.000 6.308 -3.760
O -1.702 8.170 -3.285
O -2.846 5.648 -2.120
O -0.452 4.203 -1.173
O -2.999 4.462 0.497
O -0.121 5.604 -4.027
O 2.014 6.791 -1.985
O -1.385 6.887 0.066
O -1.932 1.853 -2.905
W -1.910 5.255 -0.663
W -2.606 0.234 -3.232
Fe 0.978 5.067 -2.352
```

## Properties
* density: 4.25 Mg/m³
* calculated formation energy: -2.06 eV/atom
* excess energy over the best structure of this formula in the dataset: 1.82 eV per formula unit

The following is a DFT calculation (PBE+U) of MgNi2Bi2O6 after structural relaxation.

Cell and atoms, written as extended XYZ:
```
11
Lattice="5.940 -0.089 2.468 1.771 4.498 2.783 -0.314 0.075 5.759" Properties=species:S:1:pos:R:3 pbc="T T T"
Mg 5.772 1.314 6.011
O 3.894 1.437 6.883
O 0.942 1.588 5.343
O 5.292 0.909 3.977
O 1.856 3.912 6.664
O 6.235 3.151 5.312
O 3.320 2.896 3.796
Ni 2.141 4.228 2.918
Ni 2.709 2.480 5.637
Bi 5.674 3.068 8.890
Bi 3.361 0.791 3.001
```

## Properties
* density: 6.91 Mg/m³
* calculated formation energy: -1.56 eV/atom
* excess energy over the best structure of this formula in the dataset: 0.00 eV per formula unit

The following is a DFT calculation (PBE+U) of Li2Co2P2O9 after structural relaxation.

Cell and atoms, written as extended XYZ:
```
15
Lattice="4.837 0.000 0.000 1.688 6.966 0.000 1.608 2.202 6.639" Properties=species:S:1:pos:R:3 pbc="T T T"
P 1.820 2.703 1.681
P 6.313 6.465 4.958
O 2.457 1.910 0.505
O 2.280 2.179 3.043
O 5.853 6.989 3.596
O 5.676 7.258 6.135
O 3.040 6.681 5.062
O 0.000 0.000 0.000
O 5.093 2.487 1.577
O 6.008 4.942 5.117
O 2.125 4.226 1.522
Co 2.248 5.283 0.003
Co 5.885 3.885 6.636
Li 3.934 7.173 3.390
Li 4.199 1.995 3.249
```

## Properties
* density: 2.51 Mg/m³
* calculated formation energy: -2.16 eV/atom
* excess energy over the best structure of this formula in the dataset: 0.07 eV per formula unit

The following is a DFT calculation (PBE+U) of BaCoO2 after structural relaxation.

Cell and atoms, written as extended XYZ:
```
4
Lattice="3.972 0.000 0.000 0.000 3.972 0.000 0.000 0.000 3.948" Properties=species:S:1:pos:R:3 pbc="T T T"
O 0.000 1.986 1.974
O 1.986 0.000 1.974
Ba 0.000 0.000 0.000
Co 1.986 1.986 1.974
```

## Properties
* density: 6.09 Mg/m³
* calculated formation energy: -1.86 eV/atom

The following is a DFT calculation (PBE+U) of Li7Co5O12 after structural relaxation.

Cell and atoms, written as extended XYZ:
```
24
Lattice="-2.211 -4.428 -0.409 4.988 -1.291 -3.888 4.215 -1.610 4.654" Properties=species:S:1:pos:R:3 pbc="T T T"
O 3.324 -1.655 0.245
O 1.981 -3.984 1.395
O 4.893 -3.334 -1.178
O 3.069 -1.711 3.125
O 6.771 -5.452 0.525
O 3.941 -5.481 -2.753
O 4.780 -3.423 1.709
O 2.345 -3.898 -1.474
O 3.378 -5.841 2.997
O 3.690 -5.676 0.075
O 3.597 -1.623 -2.622
O 0.189 -1.898 0.044
Co 3.461 -3.685 0.299
Co 4.478 -1.515 1.819
Co 4.735 -1.400 -1.054
Co 3.756 -3.560 -2.697
Co 2.020 -6.019 4.222
Li 3.243 -3.744 3.015
Li 6.371 -3.229 0.464
Li 1.802 -1.784 -1.356
Li 5.087 -5.477 1.709
Li 1.647 -1.934 1.545
Li 5.438 -5.467 -1.167
Li 0.630 -4.096 -0.125
```

## Properties
* density: 4.37 Mg/m³
* calculated formation energy: -1.73 eV/atom
* excess energy over the best structure of this formula in the dataset: 0.78 eV per formula unit